Entry 1:
8
Lattice="6.932 0.000 0.000 -3.466 6.003 0.000 0.000 0.000 5.549" Properties=species:S:1:pos:R:3 comment="Tl3As PBE relaxed" spacegroup="P6_3/mmc, No. 194" pbc="T T T"
Tl 0.000 2.085 1.387
Tl -1.660 4.961 1.387
Tl 1.806 1.042 4.162
Tl 1.660 4.961 1.387
Tl 5.126 1.042 4.162
Tl 3.466 3.918 4.162
As 0.000 4.002 4.162
As 3.466 2.001 1.387

Entry 2:
8
Lattice="5.866 0.000 0.000 0.000 3.340 0.000 0.000 0.000 6.277" Properties=species:S:1:pos:R:3 comment="VAs PBE relaxed" spacegroup="Pnma, No. 62" pbc="T T T"
V 0.029 0.835 1.149
V 2.904 2.505 4.288
V 2.962 0.835 1.989
V 5.837 2.505 5.128
As 1.135 0.835 3.600
As 1.797 2.505 0.461
As 4.068 0.835 5.816
As 4.730 2.505 2.678

Entry 3:
14
Lattice="6.947 -1.685 0.000 6.947 1.685 0.000 -1.702 0.000 8.940" Properties=species:S:1:pos:R:3 comment="V4As3 PBE relaxed" de_polymorph_mev_per_atom=13 spacegroup="C2/m, No. 12" pbc="T T T"
V 0.000 0.000 0.000
V -0.851 0.000 4.470
V 1.968 0.000 6.167
V 4.587 0.000 0.463
V 4.810 0.000 6.896
V 7.382 0.000 2.044
V 7.605 0.000 8.477
V 10.224 0.000 2.773
As -0.321 0.000 6.861
As 2.167 0.000 1.379
As 4.096 0.000 4.534
As 8.096 0.000 4.405
As 10.025 0.000 7.561
As 12.513 0.000 2.078

Entry 4:
6
Lattice="4.561 -1.647 0.000 4.561 1.647 0.000 -3.734 0.000 6.520" Properties=species:S:1:pos:R:3 comment="VAs2 PBE relaxed" spacegroup="C2/m, No. 12" pbc="T T T"
V 0.680 0.000 1.262
V 4.708 0.000 5.258
As -0.646 0.000 3.486
As 3.287 0.000 0.696
As 2.101 0.000 5.824
As 6.034 0.000 3.034

Entry 5:
28
Lattice="1.697 -6.847 0.000 1.697 6.847 0.000 0.000 0.000 18.020" Properties=species:S:1:pos:R:3 comment="V4As3 PBE relaxed" de_polymorph_mev_per_atom=0 spacegroup="Cmcm, No. 63" pbc="T T T"
V 0.000 0.000 0.000
V 0.000 0.000 9.010
V 1.697 6.047 13.515
V 1.697 3.198 11.951
V 1.697 3.198 15.079
V 1.697 2.239 0.504
V 1.697 2.239 8.506
V 1.697 0.476 11.111
V 1.697 0.476 15.920
V 1.697 -0.476 2.101
V 1.697 -0.476 6.909
V 1.697 -2.239 9.514
V 1.697 -2.239 17.516
V 1.697 -3.198 2.941
V 1.697 -3.198 6.069
V 1.697 -6.047 4.505
As 1.697 5.504 11.130
As 1.697 5.504 15.900
As 1.697 4.656 1.364
As 1.697 4.656 7.646
As 1.697 2.698 4.505
As 1.697 1.114 13.515
As 1.697 -1.114 4.505
As 1.697 -2.698 13.515
As 1.697 -4.656 10.374
As 1.697 -4.656 16.657
As 1.697 -5.504 2.120
As 1.697 -5.504 6.890

Entry 6:
8
Lattice="4.736 0.000 0.000 0.000 4.736 0.000 0.000 0.000 4.736" Properties=species:S:1:pos:R:3 comment="V3As PBE relaxed" spacegroup="Pm-3n, No. 223" pbc="T T T"
V 0.000 1.184 2.368
V 0.000 3.552 2.368
V 1.184 2.368 0.000
V 2.368 0.000 1.184
V 2.368 0.000 3.552
V 3.552 2.368 0.000
As 0.000 0.000 0.000
As 2.368 2.368 2.368

Entry 7:
6
Lattice="4.582 -1.673 0.000 4.582 1.673 0.000 -3.829 0.000 6.800" Properties=species:S:1:pos:R:3 comment="As2W PBE relaxed" spacegroup="C2/m, No. 12" pbc="T T T"
As -0.612 0.000 2.649
As -0.459 0.000 6.585
As 5.794 0.000 0.215
As 5.947 0.000 4.151
W 2.047 0.000 2.031
W 3.288 0.000 4.769

Entry 8:
2
Lattice="3.587 0.000 0.000 0.000 3.587 0.000 0.000 0.000 3.587" Properties=species:S:1:pos:R:3 comment="YAs PBE relaxed" spacegroup="Pm-3m, No. 221" pbc="T T T"
Y 0.000 0.000 0.000
As 1.793 1.793 1.793

Entry 9:
2
Lattice="0.000 2.918 2.918 2.918 0.000 2.918 2.918 2.918 0.000" Properties=species:S:1:pos:R:3 comment="YAs PBE relaxed" spacegroup="Fm-3m, No. 225" pbc="T T T"
Y 0.000 0.000 0.000
As 2.918 2.918 2.918

Entry 10:
8
Lattice="6.026 0.000 0.000 -3.013 5.218 0.000 0.000 0.000 5.566" Properties=species:S:1:pos:R:3 comment="YAs3 PBE relaxed" spacegroup="P6_3/mmc, No. 194" pbc="T T T"
Y 0.000 3.479 1.392
Y 3.013 1.739 4.175
As 0.000 1.942 4.175
As -1.331 4.247 4.175
As 1.682 0.971 1.392
As 1.331 4.247 4.175
As 4.344 0.971 1.392
As 3.013 3.276 1.392

Entry 11:
16
Lattice="5.750 0.000 0.000 0.000 7.339 0.000 0.000 0.000 7.659" Properties=species:S:1:pos:R:3 comment="ZnAs PBE relaxed" spacegroup="Pbca, No. 61" pbc="T T T"
Zn 0.228 0.855 1.024
Zn 0.228 2.814 4.854
Zn 2.647 4.525 1.024
Zn 2.647 6.484 4.854
Zn 3.102 0.855 2.806
Zn 3.102 2.814 6.635
Zn 5.522 4.525 2.806
Zn 5.522 6.484 6.635
As 0.786 4.212 6.882
As 0.786 6.797 3.052
As 2.088 0.542 6.882
As 2.088 3.128 3.052
As 3.661 4.212 4.607
As 3.661 6.797 0.778
As 4.963 0.542 4.607
As 4.963 3.128 0.778

Entry 12:
40
Lattice="-5.981 5.981 5.981 5.981 -5.981 5.981 5.981 5.981 -5.981" Properties=species:S:1:pos:R:3 comment="Zn3As2 PBE relaxed" spacegroup="Ia-3, No. 206" pbc="T T T"
Zn 1.697 1.439 -1.310
Zn 7.292 1.697 -1.439
Zn 1.439 -1.310 1.697
Zn 4.285 1.439 1.310
Zn 4.671 4.285 -1.439
Zn 7.420 -1.310 4.285
Zn 7.420 1.310 1.697
Zn -1.310 1.697 1.439
Zn 4.285 -1.439 4.671
Zn 1.439 1.310 4.285
Zn 1.310 4.285 1.439
Zn 1.697 -1.439 7.292
Zn 4.285 7.420 -1.310
Zn 4.671 1.697 4.542
Zn 4.542 4.671 1.697
Zn 1.697 7.420 1.310
Zn 7.292 4.285 4.542
Zn -1.439 4.671 4.285
Zn -1.439 7.292 1.697
Zn 1.310 1.697 7.420
Zn 1.697 4.542 4.671
Zn 4.542 7.292 4.285
Zn -1.310 4.285 7.420
Zn 4.285 4.542 7.292
As 0.000 0.000 0.000
As 5.981 0.000 0.000
As 5.981 -2.991 3.113
As 8.972 2.868 0.000
As 3.113 5.981 -2.991
As 3.113 0.000 2.991
As 2.991 3.113 0.000
As 5.981 2.991 2.868
As 0.000 5.981 0.000
As 0.000 0.000 5.981
As 0.000 2.991 3.113
As 2.991 2.868 5.981
As 2.868 5.981 2.991
As 2.868 0.000 8.972
As -2.991 3.113 5.981
As 0.000 8.972 2.868

Entry 13:
80
Lattice="-5.967 5.967 11.983 5.967 -5.967 11.983 5.967 5.967 -11.983" Properties=species:S:1:pos:R:3 comment="Zn3As2 PBE relaxed" spacegroup="I4_1cd, No. 110" pbc="T T T"
Zn 10.211 -1.425 2.978
Zn 4.726 -1.286 2.725
Zn 4.542 1.723 -3.013
Zn 7.312 -1.701 5.721
Zn 10.233 1.345 -0.271
Zn 4.606 1.372 0.131
Zn 4.195 -1.487 5.992
Zn 4.595 4.606 -5.861
Zn 1.487 1.772 0.000
Zn 7.208 1.286 2.725
Zn 4.542 -1.723 8.970
Zn 1.723 1.425 2.978
Zn 1.286 -1.241 8.717
Zn 1.612 4.570 -2.868
Zn -1.397 1.612 3.124
Zn 7.454 4.195 0.000
Zn 1.372 1.361 6.122
Zn 7.738 1.487 5.992
Zn 4.266 4.622 -0.271
Zn 4.622 1.701 5.721
Zn 4.606 -1.372 12.114
Zn 4.681 7.208 -3.266
Zn 4.570 4.355 3.124
Zn 4.355 1.397 9.116
Zn 1.723 -1.425 14.962
Zn 1.241 4.681 2.725
Zn 7.392 1.723 8.970
Zn -1.345 4.266 5.721
Zn 1.701 1.345 11.712
Zn 1.361 7.339 0.131
Zn 1.772 4.480 5.992
Zn 1.372 -1.361 18.106
Zn -1.487 1.772 11.983
Zn -1.241 7.252 2.725
Zn 1.425 4.244 8.970
Zn 4.244 7.392 2.978
Zn 4.681 4.726 8.717
Zn -1.612 4.570 9.116
Zn 1.397 1.612 15.107
Zn 4.480 4.195 11.983
Zn 4.595 7.328 6.122
Zn -1.772 7.454 5.992
Zn -4.266 4.622 11.712
Zn 1.345 7.668 5.721
Zn 1.361 4.595 12.114
Zn 1.286 1.241 20.700
Zn 1.397 10.322 3.124
Zn 1.612 7.363 9.116
As 2.979 -0.049 1.424
As 6.015 2.979 -4.567
As 6.015 -2.979 7.416
As 8.955 0.049 1.424
As 2.980 2.931 -1.558
As 0.000 0.000 4.478
As 5.967 0.000 4.483
As 2.980 -2.931 10.425
As 2.953 5.901 -4.490
As -0.065 2.953 1.501
As 5.901 3.014 1.501
As 3.014 0.065 7.493
As 2.931 2.987 4.434
As 8.898 2.980 4.434
As 0.000 0.000 10.475
As 5.967 0.000 10.469
As 2.988 5.918 1.424
As 5.918 2.979 7.416
As -0.049 2.988 7.416
As 2.979 0.049 13.408
As 2.987 8.898 -1.558
As 0.000 5.967 4.483
As 0.000 0.000 16.461
As 2.987 3.036 10.425
As -2.953 5.901 7.493
As 0.065 2.953 13.484
As 0.065 8.981 1.501
As 2.953 6.032 7.493
As -2.931 2.987 16.417
As 3.036 2.980 16.417
As 0.000 5.967 10.469
As 0.000 0.000 22.458

Entry 14:
80
Lattice="-5.952 5.952 11.967 5.952 -5.952 11.967 5.952 5.952 -11.967" Properties=species:S:1:pos:R:3 comment="Zn3As2 PBE relaxed" spacegroup="I4_1/acd, No. 142" pbc="T T T"
Zn 7.266 4.317 -7.691
Zn 4.522 1.231 -1.472
Zn 7.697 -1.546 4.511
Zn 1.341 1.662 -1.707
Zn 7.586 1.608 -1.297
Zn 4.584 -1.342 4.686
Zn 1.430 1.231 1.472
Zn 1.745 -1.546 7.456
Zn 7.266 -1.635 7.691
Zn 10.271 1.608 1.297
Zn 4.584 4.610 -4.686
Zn 4.611 1.662 1.707
Zn 4.611 -1.662 10.259
Zn 4.584 7.295 -7.280
Zn 4.319 4.344 -1.297
Zn 7.266 1.635 4.276
Zn 1.745 1.546 4.511
Zn 1.430 -1.231 10.495
Zn 4.584 1.343 7.280
Zn 1.634 4.344 1.297
Zn 7.293 4.290 1.707
Zn 7.697 1.546 7.456
Zn 4.522 -1.231 13.439
Zn 1.314 1.635 7.691
Zn 4.638 4.317 4.276
Zn 1.430 7.183 -1.472
Zn -1.745 4.406 4.511
Zn -1.341 1.662 10.259
Zn 4.319 1.608 10.670
Zn 1.368 4.610 4.686
Zn 4.522 7.183 1.472
Zn 4.207 4.406 7.456
Zn -1.314 4.317 7.691
Zn 1.634 1.608 13.264
Zn 1.368 -1.342 19.247
Zn 1.341 7.614 1.707
Zn 1.341 4.290 10.259
Zn 1.368 1.343 16.653
Zn -4.319 4.344 10.670
Zn -1.314 7.587 4.276
Zn 4.207 7.498 4.511
Zn 4.522 4.721 10.495
Zn 1.368 7.295 7.280
Zn -1.634 4.344 13.264
Zn 4.611 4.290 13.674
Zn -1.745 7.498 7.456
Zn 1.430 4.721 13.439
Zn -1.314 1.635 19.658
As 5.952 -2.976 6.006
As 2.976 0.056 0.000
As 8.906 2.915 -2.951
As 5.891 -0.023 3.032
As 5.891 5.975 -8.935
As 2.999 3.037 -2.951
As 5.952 -2.976 11.944
As 2.920 0.000 5.983
As 8.872 0.000 5.983
As 5.952 2.976 0.023
As 8.951 2.915 2.951
As 5.891 5.929 -3.032
As 5.891 0.023 8.935
As 2.953 3.037 2.951
As 2.976 -0.056 11.967
As 5.952 2.976 5.961
As 0.000 2.976 6.006
As 2.976 6.008 0.000
As 2.999 2.915 9.016
As 0.061 5.929 3.032
As 0.061 0.023 14.999
As -2.999 3.037 9.016
As 0.000 2.976 11.944
As -2.920 5.952 5.983
As 3.032 5.952 5.983
As 0.000 8.928 0.023
As 2.953 2.915 14.918
As 0.061 -0.023 20.901
As 0.061 5.975 8.935
As -2.953 3.037 14.918
As 2.976 5.896 11.967
As 0.000 8.928 5.961

Entry 15:
6
Lattice="5.596 0.000 0.000 0.000 5.596 0.000 0.000 0.000 5.596" Properties=species:S:1:pos:R:3 comment="Zn2As PBE relaxed" spacegroup="Pn-3m, No. 224" pbc="T T T"
Zn 0.000 0.000 0.000
Zn 0.000 2.798 2.798
Zn 2.798 0.000 2.798
Zn 2.798 2.798 0.000
As 1.399 1.399 1.399
As 4.197 4.197 4.197

Number 1: E_form 0.22 eV per formula unit, calculated volume 231 Å³ per cell. Number 2: E_form -1.00 eV per formula unit, calculated volume 123 Å³ per cell. Number 3: E_form -3.25 eV per formula unit, calculated volume 209 Å³ per cell. Number 4: E_form -1.19 eV per formula unit, calculated volume 98 Å³ per cell. Number 5: E_form -3.33 eV per formula unit, calculated volume 419 Å³ per cell. Number 6: E_form -1.81 eV per formula unit, calculated volume 106 Å³ per cell. Number 7: E_form -0.20 eV per formula unit, calculated volume 104 Å³ per cell. Number 8: E_form -2.13 eV per formula unit, calculated volume 46 Å³ per cell. Number 9: E_form -3.10 eV per formula unit, calculated volume 50 Å³ per cell. Number 10: E_form -1.96 eV per formula unit, calculated volume 175 Å³ per cell. Number 11: E_form -0.26 eV per formula unit, calculated volume 323 Å³ per cell. Number 12: E_form -0.62 eV per formula unit, calculated volume 856 Å³ per cell. Number 13: E_form -0.73 eV per formula unit, calculated volume 1707 Å³ per cell. Number 14: E_form -0.73 eV per formula unit, calculated volume 1696 Å³ per cell. Number 15: E_form 0.80 eV per formula unit, calculated volume 175 Å³ per cell.